DFT (GGA+U) results for a relaxed Ca9MnP7O28 crystal.

extended XYZ file:
```
90
Lattice="5.214 3.010 12.540 -5.214 3.010 12.540 0.000 -6.020 12.540" Properties=species:S:1:pos:R:3 pbc="T T T"
Ca -2.128 -1.315 12.540
Ca -2.854 -1.813 23.753
Ca -2.359 1.197 17.483
Ca 0.143 -2.642 17.483
Ca -0.105 -3.542 21.045
Ca -3.015 1.862 21.045
Ca -2.199 -1.148 27.315
Ca -0.074 2.500 12.540
Ca 2.203 -1.186 12.540
Ca -2.203 -1.186 31.349
Ca 2.217 1.445 17.483
Ca -0.143 3.378 23.753
Ca 2.997 -1.565 23.753
Ca 2.094 -1.330 27.315
Ca 0.105 2.478 27.315
Ca 3.120 1.680 21.045
Ca 2.128 -1.315 31.349
Ca 0.074 2.500 31.349
Mn 0.000 0.000 15.103
Mn 0.000 0.000 33.912
P -2.616 1.276 9.972
P -2.598 -1.734 16.242
P 0.203 -2.904 9.972
P 0.000 0.000 6.307
P -2.861 1.425 13.903
P 0.196 -3.190 13.903
P -2.353 -1.585 20.173
P -0.203 3.117 16.242
P 2.413 1.628 9.972
P 2.800 -1.383 16.242
P 0.000 0.000 25.116
P -0.196 2.831 20.173
P 2.550 -1.245 20.173
P 2.664 1.765 13.903
O -1.481 -0.031 5.824
O -3.769 0.501 13.027
O -2.915 -1.779 14.738
O -3.904 2.157 10.225
O -3.775 -1.074 16.991
O 0.084 -4.459 10.225
O -1.119 -3.769 13.333
O -3.810 -2.254 20.046
O -2.290 -3.173 16.729
O -0.957 -2.215 10.721
O -2.299 1.231 8.468
O 0.084 -2.606 8.468
O 0.768 -1.267 5.824
O -3.372 1.356 15.338
O 0.000 0.000 7.861
O -1.445 -2.509 19.297
O -2.704 2.854 13.333
O -1.439 1.937 10.721
O 0.512 -3.598 15.338
O -1.310 -0.854 16.495
O -2.509 -0.156 19.603
O -1.404 0.756 13.776
O 0.047 -1.594 13.776
O 1.451 -3.515 13.027
O 0.714 1.298 5.824
O -3.611 0.559 22.999
O -1.842 -1.654 21.608
O -1.603 3.569 16.729
O -0.768 -1.267 24.634
O -1.451 2.506 19.297
O 2.215 1.375 8.468
O -0.084 1.562 16.494
O 2.397 0.278 10.721
O 1.394 -0.708 16.494
O 1.390 -2.095 19.603
O 1.357 0.838 13.776
O 1.321 -3.407 22.999
O 2.817 -2.732 16.991
O -0.084 3.414 14.738
O 2.999 -1.635 14.738
O -0.714 1.298 24.634
O -0.512 2.422 21.608
O 0.000 0.000 26.671
O 2.319 3.014 13.027
O 1.119 2.251 19.603
O 0.958 3.806 16.991
O 2.353 -0.768 21.608
O 3.819 2.302 10.225
O 3.824 0.915 13.333
O -0.047 4.426 20.046
O 3.857 -2.172 20.046
O 2.895 0.004 19.297
O 1.481 -0.031 24.634
O 3.893 -0.397 16.729
O 2.860 2.242 15.338
O 2.290 2.848 22.999
```

Values from the calculation:
Its density is 3.039 g cm⁻³. The calculation puts the energy at -652.85 eV for the cell shown. Its symmetry is R3c, No. 161. The formation energy from the elements comes out at -3.1930 eV per atom. For the energy relative to the lowest polymorph listed for this composition, the calculation gives 0.0089 eV/atom.

DFT (GGA+U) results for a relaxed SrCaMnP2O8 crystal.

extended XYZ file:
```
26
Lattice="5.759 0.000 0.000 -1.046 6.889 0.000 -1.914 -3.565 8.809" Properties=species:S:1:pos:R:3 pbc="T T T"
Sr 0.316 -0.257 3.915
Sr 2.483 3.581 4.894
Ca 0.654 1.008 7.379
Ca 2.144 2.315 1.430
Mn -0.212 5.578 0.546
Mn 3.011 -2.254 8.263
P -0.506 3.039 2.482
P 0.378 -2.617 7.033
P 2.420 5.941 1.777
P 3.305 0.285 6.328
O -0.206 2.502 1.035
O -1.059 0.740 5.855
O -1.927 3.564 7.656
O -0.416 4.583 2.435
O 0.119 -2.232 5.579
O 0.655 2.454 3.349
O 2.217 0.008 1.685
O 0.740 -1.386 7.954
O 2.059 4.710 0.855
O 0.582 3.316 7.124
O 2.144 0.870 5.460
O 2.679 5.556 3.231
O 3.215 -1.259 6.374
O 4.725 -0.241 1.153
O 3.857 2.584 2.954
O 3.005 0.822 7.774
```

Values from the calculation:
Its density is 3.541 g cm⁻³. The calculation puts the energy at -191.69 eV for the cell shown. Its symmetry is P-1, No. 2. The formation energy from the elements comes out at -3.0572 eV per atom. For the energy relative to the lowest polymorph listed for this composition, the calculation gives 0.0000 eV/atom.

DFT (GGA+U) results for a relaxed CaTi8MnP12O48 crystal.

extended XYZ file:
```
70
Lattice="4.283 2.473 14.542 -4.283 2.473 14.542 0.000 -4.946 14.542" Properties=species:S:1:pos:R:3 pbc="T T T"
Ca 0.000 0.000 0.000
Ti 0.000 0.000 3.232
Ti 0.000 0.000 7.868
Ti 0.000 0.000 13.943
Ti 0.000 0.000 18.612
Ti 0.000 0.000 25.015
Ti 0.000 0.000 29.684
Ti 0.000 0.000 35.759
Ti 0.000 0.000 40.395
Mn 0.000 0.000 21.814
P -1.198 -2.132 16.322
P -3.026 0.368 20.054
P -1.831 -2.436 23.573
P -2.445 -0.029 27.305
P -1.248 2.103 16.322
P 1.194 -2.804 20.054
P -1.194 2.804 23.573
P 1.248 -2.103 27.305
P 2.445 0.029 16.322
P 1.831 2.436 20.054
P 3.026 -0.368 23.573
P 1.198 2.132 27.305
O -0.759 -3.621 16.406
O -0.426 -1.555 8.928
O -2.732 -2.116 22.382
O -1.556 -0.416 12.888
O -2.663 -2.465 24.888
O -3.466 1.074 18.739
O -3.515 -1.153 27.221
O -1.134 1.147 8.928
O -0.466 -1.533 15.118
O -3.198 1.308 21.245
O -0.811 -1.386 17.630
O -2.756 2.467 16.406
O -1.505 0.011 20.011
O 0.803 -3.539 18.739
O -1.095 1.170 15.118
O 0.467 -3.424 21.245
O 1.138 -1.139 12.888
O -0.762 -1.298 23.616
O -0.795 1.395 17.630
O -1.605 0.009 25.997
O 1.560 0.408 8.928
O -1.561 -0.363 28.509
O 0.418 1.556 12.888
O 0.743 -1.309 20.011
O -0.743 1.309 23.616
O -0.418 -1.556 30.739
O 1.561 0.363 15.118
O -1.560 -0.408 34.699
O 1.605 -0.009 17.630
O 0.795 -1.395 25.997
O 0.762 1.298 20.011
O -1.138 1.139 30.739
O -0.467 3.424 22.382
O 1.095 -1.170 28.509
O -0.803 3.539 24.888
O 1.505 -0.011 23.616
O 2.756 -2.467 27.221
O 0.811 1.386 25.997
O 3.198 -1.308 22.382
O 0.466 1.533 28.509
O 1.133 -1.147 34.699
O 3.515 1.153 16.406
O 3.466 -1.074 24.888
O 2.663 2.465 18.739
O 1.556 0.416 30.739
O 2.732 2.116 21.245
O 0.426 1.555 34.699
O 0.759 3.621 27.221
```

Values from the calculation:
Its density is 2.907 g cm⁻³. The calculation puts the energy at -555.19 eV for the cell shown. Its symmetry is R-3, No. 148. The formation energy from the elements comes out at -3.0434 eV per atom.

DFT (GGA+U) results for a relaxed Ca9Pr11Mn20O60 crystal.

extended XYZ file:
```
100
Lattice="5.444 0.000 0.000 0.000 38.428 0.000 -0.002 0.000 5.477" Properties=species:S:1:pos:R:3 pbc="T T T"
Ca 0.000 0.000 0.000
Ca 2.721 3.820 2.302
Ca 2.721 34.608 2.302
Ca 2.825 15.391 2.728
Ca 2.825 23.036 2.728
Ca 5.433 15.385 5.466
Ca 5.433 23.043 5.466
Ca 5.436 7.649 5.466
Ca 5.436 30.779 5.466
Pr 0.082 19.214 5.063
Pr 0.085 11.548 5.069
Pr 0.085 26.880 5.069
Pr 0.091 3.826 5.061
Pr 0.091 34.602 5.061
Pr 2.733 11.567 2.328
Pr 2.733 26.860 2.328
Pr 2.736 19.214 2.325
Pr 2.813 0.000 2.717
Pr 2.814 7.637 2.714
Pr 2.814 30.791 2.714
Mn 0.042 13.523 2.519
Mn 0.042 24.905 2.519
Mn 0.048 1.916 2.513
Mn 0.046 9.575 2.516
Mn 0.046 17.240 2.514
Mn 0.046 21.188 2.514
Mn 0.046 28.852 2.516
Mn 0.048 36.511 2.513
Mn 0.051 5.739 2.509
Mn 0.051 32.689 2.509
Mn 2.770 1.911 5.266
Mn 2.769 5.745 5.265
Mn 2.768 9.572 5.261
Mn 2.770 13.523 5.254
Mn 2.771 17.240 5.253
Mn 2.771 21.188 5.253
Mn 2.770 24.905 5.254
Mn 2.768 28.856 5.261
Mn 2.769 32.683 5.265
Mn 2.770 36.517 5.266
O 0.436 0.000 2.433
O 0.435 7.673 2.422
O 0.435 30.755 2.422
O 0.480 15.379 2.401
O 0.480 23.048 2.401
O 1.242 2.208 0.981
O 1.242 5.460 0.976
O 1.242 32.968 0.976
O 1.242 36.220 0.981
O 1.255 13.134 0.994
O 1.260 17.613 0.994
O 1.260 20.815 0.994
O 1.255 25.294 0.994
O 1.268 9.930 1.004
O 1.268 28.498 1.004
O 1.553 13.135 3.737
O 1.553 25.292 3.737
O 1.559 17.613 3.731
O 1.559 20.815 3.731
O 1.571 9.906 3.722
O 1.571 28.522 3.722
O 1.587 2.229 3.708
O 1.587 36.199 3.708
O 1.593 5.443 3.701
O 1.593 32.985 3.701
O 2.334 15.380 5.139
O 2.334 23.048 5.139
O 2.351 0.000 5.184
O 2.347 7.673 5.188
O 2.347 30.755 5.188
O 3.138 19.214 5.302
O 3.143 11.532 5.300
O 3.143 26.895 5.300
O 3.157 3.830 5.344
O 3.157 34.597 5.344
O 3.932 13.733 1.350
O 3.932 24.695 1.350
O 3.940 17.015 1.342
O 3.940 21.413 1.342
O 3.946 9.334 1.337
O 3.946 29.094 1.337
O 3.963 1.625 1.323
O 3.963 36.803 1.323
O 3.968 6.047 1.316
O 3.968 32.381 1.316
O 4.294 9.289 4.061
O 4.294 29.139 4.061
O 4.310 1.604 4.072
O 4.310 6.068 4.067
O 4.310 32.360 4.067
O 4.310 36.824 4.072
O 4.322 13.734 4.086
O 4.322 17.015 4.080
O 4.322 21.413 4.080
O 4.322 24.694 4.086
O 5.075 3.830 2.594
O 5.075 34.597 2.594
O 5.121 11.533 2.576
O 5.123 19.214 2.564
O 5.121 26.895 2.576
```

Values from the calculation:
Its density is 5.753 g cm⁻³. The calculation puts the energy at -752.19 eV for the cell shown. Its symmetry is Pm, No. 6. The formation energy from the elements comes out at -2.7602 eV per atom.

- Number 3 is which compound?
  CaTi8MnP12O48

Copy entry 3 word for word.
DFT (GGA+U) results for a relaxed CaTi8MnP12O48 crystal.

extended XYZ file:
```
70
Lattice="4.283 2.473 14.542 -4.283 2.473 14.542 0.000 -4.946 14.542" Properties=species:S:1:pos:R:3 pbc="T T T"
Ca 0.000 0.000 0.000
Ti 0.000 0.000 3.232
Ti 0.000 0.000 7.868
Ti 0.000 0.000 13.943
Ti 0.000 0.000 18.612
Ti 0.000 0.000 25.015
Ti 0.000 0.000 29.684
Ti 0.000 0.000 35.759
Ti 0.000 0.000 40.395
Mn 0.000 0.000 21.814
P -1.198 -2.132 16.322
P -3.026 0.368 20.054
P -1.831 -2.436 23.573
P -2.445 -0.029 27.305
P -1.248 2.103 16.322
P 1.194 -2.804 20.054
P -1.194 2.804 23.573
P 1.248 -2.103 27.305
P 2.445 0.029 16.322
P 1.831 2.436 20.054
P 3.026 -0.368 23.573
P 1.198 2.132 27.305
O -0.759 -3.621 16.406
O -0.426 -1.555 8.928
O -2.732 -2.116 22.382
O -1.556 -0.416 12.888
O -2.663 -2.465 24.888
O -3.466 1.074 18.739
O -3.515 -1.153 27.221
O -1.134 1.147 8.928
O -0.466 -1.533 15.118
O -3.198 1.308 21.245
O -0.811 -1.386 17.630
O -2.756 2.467 16.406
O -1.505 0.011 20.011
O 0.803 -3.539 18.739
O -1.095 1.170 15.118
O 0.467 -3.424 21.245
O 1.138 -1.139 12.888
O -0.762 -1.298 23.616
O -0.795 1.395 17.630
O -1.605 0.009 25.997
O 1.560 0.408 8.928
O -1.561 -0.363 28.509
O 0.418 1.556 12.888
O 0.743 -1.309 20.011
O -0.743 1.309 23.616
O -0.418 -1.556 30.739
O 1.561 0.363 15.118
O -1.560 -0.408 34.699
O 1.605 -0.009 17.630
O 0.795 -1.395 25.997
O 0.762 1.298 20.011
O -1.138 1.139 30.739
O -0.467 3.424 22.382
O 1.095 -1.170 28.509
O -0.803 3.539 24.888
O 1.505 -0.011 23.616
O 2.756 -2.467 27.221
O 0.811 1.386 25.997
O 3.198 -1.308 22.382
O 0.466 1.533 28.509
O 1.133 -1.147 34.699
O 3.515 1.153 16.406
O 3.466 -1.074 24.888
O 2.663 2.465 18.739
O 1.556 0.416 30.739
O 2.732 2.116 21.245
O 0.426 1.555 34.699
O 0.759 3.621 27.221
```

Values from the calculation:
Its density is 2.907 g cm⁻³. The calculation puts the energy at -555.19 eV for the cell shown. Its symmetry is R-3, No. 148. The formation energy from the elements comes out at -3.0434 eV per atom.